1.
{"formula": "LiMg17Al11", "functional": "PBE-GGA", "state": "relaxed", "magnetic_moment_mub_per_atom": 0.0000, "e_tot_ev_per_cell": -70.97, "space_group": "Cm", "delta_e_f_ev_per_atom": -0.023, "volume_a3_per_atom": 20.16, "lattice": [[5.274, -7.363, 0.000], [5.274, 7.363, 0.000], [-5.167, 0.000, 7.526]], "species": ["Li", "Mg", "Mg", "Mg", "Mg", "Mg", "Mg", "Mg", "Mg", "Mg", "Mg", "Mg", "Mg", "Mg", "Mg", "Mg", "Mg", "Mg", "Al", "Al", "Al", "Al", "Al", "Al", "Al", "Al", "Al", "Al", "Al"], "frac_coords": [[0.000, 0.000, 0.000], [0.031, 0.031, 0.532], [0.031, 0.346, 0.215], [0.235, 0.634, 0.134], [0.236, 0.950, 0.818], [0.290, 0.290, 0.473], [0.319, 0.319, 0.105], [0.319, 0.921, 0.503], [0.346, 0.031, 0.215], [0.632, 0.632, 0.163], [0.634, 0.235, 0.134], [0.635, 0.635, 0.819], [0.635, 0.978, 0.819], [0.636, 0.951, 0.418], [0.921, 0.319, 0.503], [0.950, 0.236, 0.818], [0.951, 0.636, 0.418], [0.978, 0.635, 0.819], [0.000, 0.815, 0.187], [0.267, 0.449, 0.816], [0.269, 0.634, 0.634], [0.449, 0.267, 0.816], [0.450, 0.636, 0.451], [0.454, 0.817, 0.003], [0.634, 0.269, 0.634], [0.636, 0.450, 0.451], [0.815, 0.000, 0.187], [0.817, 0.454, 0.003], [0.819, 0.819, 0.639]]}



2.
{"formula": "EuBi3", "functional": "PBE-GGA", "state": "relaxed", "e_tot_ev_per_cell": -23.80, "space_group": "Pm-3m", "delta_e_f_ev_per_atom": -0.469, "volume_a3_per_atom": 31.48, "lattice": [[5.012, 0.000, 0.000], [0.000, 5.012, 0.000], [0.000, 0.000, 5.012]], "species": ["Eu", "Bi", "Bi", "Bi"], "frac_coords": [[0.000, 0.000, 0.000], [0.000, 0.500, 0.500], [0.500, 0.000, 0.500], [0.500, 0.500, 0.000]]}



3.
{"formula": "CaLuPd2", "functional": "PBE-GGA", "state": "relaxed", "magnetic_moment_mub_per_atom": 0.0001, "e_tot_ev_per_cell": -20.12, "space_group": "Fm-3m", "delta_e_f_ev_per_atom": -0.808, "volume_a3_per_atom": 20.89, "lattice": [[0.000, 3.470, 3.470], [3.470, 0.000, 3.470], [3.470, 3.470, 0.000]], "species": ["Ca", "Lu", "Pd", "Pd"], "frac_coords": [[0.000, 0.000, 0.000], [0.500, 0.500, 0.500], [0.250, 0.250, 0.250], [0.750, 0.750, 0.750]]}



4.
{"formula": "CaH6PtO6", "functional": "PBE-GGA", "state": "relaxed", "magnetic_moment_mub_per_atom": 0.0003, "e_tot_ev_per_cell": -147.14, "space_group": "P-31c", "delta_e_f_ev_per_atom": -1.398, "volume_a3_per_atom": 11.53, "lattice": [[5.985, 0.000, 0.000], [-2.992, 5.183, 0.000], [0.000, 0.000, 10.411]], "species": ["Ca", "Ca", "H", "H", "H", "H", "H", "H", "H", "H", "H", "H", "H", "H", "Pt", "Pt", "O", "O", "O", "O", "O", "O", "O", "O", "O", "O", "O", "O"], "frac_coords": [[0.333, 0.667, 0.250], [0.667, 0.333, 0.750], [0.096, 0.336, 0.848], [0.096, 0.760, 0.652], [0.240, 0.336, 0.652], [0.240, 0.904, 0.848], [0.336, 0.096, 0.348], [0.336, 0.240, 0.152], [0.664, 0.760, 0.848], [0.664, 0.904, 0.652], [0.760, 0.096, 0.152], [0.760, 0.664, 0.348], [0.904, 0.240, 0.348], [0.904, 0.664, 0.152], [0.000, 0.000, 0.000], [0.000, 0.000, 0.500], [0.074, 0.307, 0.387], [0.074, 0.767, 0.113], [0.233, 0.307, 0.113], [0.233, 0.926, 0.387], [0.307, 0.074, 0.887], [0.307, 0.233, 0.613], [0.693, 0.767, 0.387], [0.693, 0.926, 0.113], [0.767, 0.074, 0.613], [0.767, 0.693, 0.887], [0.926, 0.233, 0.887], [0.926, 0.693, 0.613]]}



5.
{"formula": "K2ZrS4", "functional": "PBE-GGA", "state": "relaxed", "e_tot_ev_per_cell": -289.89, "space_group": "Pbca", "delta_e_f_ev_per_atom": -1.562, "volume_a3_per_atom": 27.41, "lattice": [[6.808, 0.000, 0.000], [0.000, 23.553, 0.000], [0.000, 0.000, 9.572]], "species": ["K", "K", "K", "K", "K", "K", "K", "K", "K", "K", "K", "K", "K", "K", "K", "K", "Zr", "Zr", "Zr", "Zr", "Zr", "Zr", "Zr", "Zr", "S", "S", "S", "S", "S", "S", "S", "S", "S", "S", "S", "S", "S", "S", "S", "S", "S", "S", "S", "S", "S", "S", "S", "S", "S", "S", "S", "S", "S", "S", "S", "S"], "frac_coords": [[0.065, 0.198, 0.069], [0.065, 0.302, 0.569], [0.203, 0.531, 0.358], [0.203, 0.969, 0.858], [0.297, 0.031, 0.358], [0.297, 0.469, 0.858], [0.435, 0.698, 0.069], [0.435, 0.802, 0.569], [0.565, 0.198, 0.431], [0.565, 0.302, 0.931], [0.703, 0.531, 0.142], [0.703, 0.969, 0.642], [0.797, 0.031, 0.142], [0.797, 0.469, 0.642], [0.935, 0.698, 0.431], [0.935, 0.802, 0.931], [0.053, 0.131, 0.671], [0.053, 0.369, 0.171], [0.447, 0.631, 0.671], [0.447, 0.869, 0.171], [0.553, 0.131, 0.829], [0.553, 0.369, 0.329], [0.947, 0.631, 0.829], [0.947, 0.869, 0.329], [0.071, 0.161, 0.410], [0.071, 0.339, 0.910], [0.111, 0.590, 0.052], [0.111, 0.910, 0.552], [0.136, 0.566, 0.668], [0.136, 0.934, 0.168], [0.211, 0.704, 0.769], [0.211, 0.796, 0.269], [0.289, 0.204, 0.769], [0.289, 0.296, 0.269], [0.364, 0.066, 0.668], [0.364, 0.434, 0.168], [0.389, 0.090, 0.052], [0.389, 0.410, 0.552], [0.429, 0.661, 0.410], [0.429, 0.839, 0.910], [0.571, 0.161, 0.090], [0.571, 0.339, 0.590], [0.611, 0.590, 0.448], [0.611, 0.910, 0.948], [0.636, 0.566, 0.832], [0.636, 0.934, 0.332], [0.711, 0.704, 0.731], [0.711, 0.796, 0.231], [0.789, 0.204, 0.731], [0.789, 0.296, 0.231], [0.864, 0.066, 0.832], [0.864, 0.434, 0.332], [0.889, 0.090, 0.448], [0.889, 0.410, 0.948], [0.929, 0.661, 0.090], [0.929, 0.839, 0.590]]}



6.
{"formula": "FeCuPt2", "functional": "PBE-GGA", "state": "relaxed", "e_tot_ev_per_cell": -25.42, "space_group": "P4/mmm", "delta_e_f_ev_per_atom": -0.177, "volume_a3_per_atom": 14.08, "lattice": [[3.963, 0.000, 0.000], [0.000, 3.963, 0.000], [0.000, 0.000, 3.587]], "species": ["Fe", "Cu", "Pt", "Pt"], "frac_coords": [[0.000, 0.000, 0.000], [0.500, 0.500, 0.000], [0.000, 0.500, 0.500], [0.500, 0.000, 0.500]]}